No. 1
Mo2WSe4S2 PBE optimized geometry; distance to the lowest polymorph of the same formula = 23 meV per atom; E_form = -7.18 eV/f.u.
1.0
1.639 -2.840 0.000
1.639 2.840 0.000
0.000 0.000 30.197
Mo W Se S
2 1 4 2
direct
0.333 0.667 0.116
0.333 0.667 0.578
0.667 0.333 0.347
0.333 0.667 0.403
0.667 0.333 0.522
0.667 0.333 0.634
0.333 0.667 0.291
0.667 0.333 0.065
0.667 0.333 0.167


No. 2
MoW3Se4S4 PBE optimized geometry; distance to the lowest polymorph of the same formula = 1 meV per atom; E_form = -10.44 eV/f.u.
1.0
-0.455 0.991 3.065
-1.388 -2.752 -1.043
29.776 -19.023 10.572
Mo W Se S
1 3 4 4
direct
0.667 0.333 0.282
0.333 0.667 0.094
0.333 0.667 0.470
0.667 0.333 0.658
0.333 0.667 0.328
0.333 0.667 0.704
0.333 0.667 0.236
0.333 0.667 0.611
0.667 0.333 0.052
0.667 0.333 0.428
0.667 0.333 0.136
0.667 0.333 0.512


No. 3
MoWSe2S2 PBE optimized geometry; distance to the lowest polymorph of the same formula = 17 meV per atom; E_form = -5.30 eV/f.u.
1.0
1.627 -2.818 0.000
1.627 2.818 0.000
0.000 0.000 36.868
Mo W Se S
2 2 4 4
direct
0.000 0.000 0.094
0.333 0.667 0.282
0.000 0.000 0.470
0.333 0.667 0.658
0.000 0.000 0.704
0.333 0.667 0.048
0.333 0.667 0.140
0.000 0.000 0.611
0.000 0.000 0.324
0.333 0.667 0.428
0.333 0.667 0.512
0.000 0.000 0.240


No. 4
MoW3Se6S2 PBE optimized geometry; distance to the lowest polymorph of the same formula = 0 meV per atom; E_form = -8.70 eV/f.u.
1.0
-0.145 2.031 2.584
-1.807 0.615 -2.679
-28.424 -20.450 14.485
Mo W Se S
1 3 6 2
direct
0.667 0.333 0.282
0.333 0.667 0.094
0.333 0.667 0.470
0.667 0.333 0.658
0.333 0.667 0.326
0.333 0.667 0.702
0.667 0.333 0.049
0.667 0.333 0.139
0.333 0.667 0.237
0.333 0.667 0.613
0.667 0.333 0.429
0.667 0.333 0.510


No. 5
MoWSe2S2 PBE optimized geometry; distance to the lowest polymorph of the same formula = 17 meV per atom; E_form = -5.29 eV/f.u.
1.0
-3.154 0.173 0.777
1.309 -2.851 -0.861
8.319 -6.829 35.272
Mo W Se S
2 2 4 4
direct
0.000 0.000 0.094
0.000 0.000 0.470
0.333 0.667 0.282
0.333 0.667 0.658
0.000 0.000 0.328
0.333 0.667 0.048
0.333 0.667 0.140
0.000 0.000 0.235
0.000 0.000 0.700
0.333 0.667 0.428
0.333 0.667 0.512
0.000 0.000 0.616


No. 6
MoW3Se4S4 PBE optimized geometry; distance to the lowest polymorph of the same formula = 18 meV per atom; E_form = -10.24 eV/f.u.
1.0
1.628 -2.819 0.000
1.628 2.819 0.000
0.000 0.000 36.919
Mo W Se S
1 3 4 4
direct
0.667 0.333 0.282
0.333 0.667 0.094
0.333 0.667 0.470
0.667 0.333 0.658
0.333 0.667 0.704
0.667 0.333 0.048
0.667 0.333 0.140
0.333 0.667 0.611
0.333 0.667 0.324
0.667 0.333 0.428
0.667 0.333 0.512
0.333 0.667 0.240


No. 7
MoW3Se4S4 PBE optimized geometry; distance to the lowest polymorph of the same formula = 2 meV per atom; E_form = -10.44 eV/f.u.
1.0
1.628 -2.819 0.000
1.628 2.819 0.000
0.000 0.000 36.945
Mo W Se S
1 3 4 4
direct
0.667 0.333 0.282
0.333 0.667 0.094
0.333 0.667 0.470
0.667 0.333 0.658
0.333 0.667 0.328
0.667 0.333 0.423
0.667 0.333 0.516
0.333 0.667 0.236
0.333 0.667 0.700
0.667 0.333 0.052
0.667 0.333 0.136
0.333 0.667 0.616


No. 8
MoWSe2S2 PBE optimized geometry; distance to the lowest polymorph of the same formula = 17 meV per atom; E_form = -5.29 eV/f.u.
1.0
1.627 -2.818 0.000
1.627 2.818 0.000
0.000 0.000 36.885
Mo W Se S
2 2 4 4
direct
0.000 0.000 0.470
0.333 0.667 0.282
0.000 0.000 0.094
0.333 0.667 0.658
0.000 0.000 0.704
0.333 0.667 0.424
0.333 0.667 0.516
0.000 0.000 0.611
0.000 0.000 0.324
0.333 0.667 0.052
0.333 0.667 0.136
0.000 0.000 0.240


No. 9
MoW3Se4S4 PBE optimized geometry; distance to the lowest polymorph of the same formula = 19 meV per atom; E_form = -10.23 eV/f.u.
1.0
1.628 -2.819 0.000
1.628 2.819 0.000
0.000 0.000 36.558
Mo W Se S
1 3 4 4
direct
0.000 0.000 0.094
0.000 0.000 0.470
0.333 0.667 0.282
0.333 0.667 0.658
0.000 0.000 0.704
0.333 0.667 0.423
0.333 0.667 0.516
0.000 0.000 0.611
0.000 0.000 0.324
0.333 0.667 0.052
0.333 0.667 0.136
0.000 0.000 0.239


No. 10
MoW3Se6S2 PBE optimized geometry; distance to the lowest polymorph of the same formula = 1 meV per atom; E_form = -8.69 eV/f.u.
1.0
1.643 -2.846 0.000
1.643 2.846 0.000
0.000 0.000 37.403
Mo W Se S
1 3 6 2
direct
0.667 0.333 0.282
0.333 0.667 0.094
0.333 0.667 0.470
0.667 0.333 0.658
0.333 0.667 0.327
0.333 0.667 0.703
0.667 0.333 0.424
0.667 0.333 0.515
0.333 0.667 0.237
0.333 0.667 0.612
0.667 0.333 0.053
0.667 0.333 0.135


No. 11
MoW3Se6S2 PBE optimized geometry; distance to the lowest polymorph of the same formula = 17 meV per atom; E_form = -8.49 eV/f.u.
1.0
-0.654 3.087 0.929
-0.689 -2.505 2.017
34.174 2.707 15.044
Mo W Se S
1 3 6 2
direct
0.000 0.000 0.094
0.000 0.000 0.470
0.333 0.667 0.282
0.333 0.667 0.658
0.000 0.000 0.327
0.000 0.000 0.703
0.333 0.667 0.424
0.333 0.667 0.515
0.000 0.000 0.236
0.000 0.000 0.612
0.333 0.667 0.053
0.333 0.667 0.135


No. 12
MoWSe2S2 PBE optimized geometry; distance to the lowest polymorph of the same formula = 34 meV per atom; E_form = -5.19 eV/f.u.
1.0
1.629 -2.822 0.000
1.629 2.822 0.000
0.000 0.000 36.904
Mo W Se S
2 2 4 4
direct
0.000 0.000 0.094
0.333 0.667 0.282
0.000 0.000 0.470
0.333 0.667 0.658
0.000 0.000 0.704
0.333 0.667 0.423
0.333 0.667 0.516
0.000 0.000 0.611
0.000 0.000 0.324
0.333 0.667 0.052
0.333 0.667 0.136
0.000 0.000 0.240


No. 13
MoWSe2S2 PBE optimized geometry; distance to the lowest polymorph of the same formula = 17 meV per atom; E_form = -5.29 eV/f.u.
1.0
-2.032 1.130 2.276
-1.035 -2.209 -2.153
10.440 -27.075 22.765
Mo W Se S
2 2 4 4
direct
0.000 0.000 0.094
0.333 0.667 0.658
0.000 0.000 0.470
0.333 0.667 0.282
0.000 0.000 0.328
0.000 0.000 0.704
0.000 0.000 0.235
0.000 0.000 0.612
0.333 0.667 0.052
0.333 0.667 0.428
0.333 0.667 0.136
0.333 0.667 0.512


No. 14
Mo2WSe4S2 PBE optimized geometry; distance to the lowest polymorph of the same formula = 0 meV per atom; E_form = -7.38 eV/f.u.
1.0
1.030 1.316 2.816
1.904 -2.125 -1.607
12.587 22.835 -15.276
Mo W Se S
2 1 4 2
direct
0.000 0.000 0.884
0.333 0.667 0.653
0.000 0.000 0.422
0.000 0.000 0.597
0.333 0.667 0.940
0.333 0.667 0.828
0.000 0.000 0.709
0.333 0.667 0.473
0.333 0.667 0.371


No. 15
MoW3Se4S4 PBE optimized geometry; distance to the lowest polymorph of the same formula = 18 meV per atom; E_form = -10.24 eV/f.u.
1.0
0.195 1.361 2.949
-2.405 0.841 -2.024
-21.084 -26.969 13.838
Mo W Se S
1 3 4 4
direct
0.667 0.333 0.282
0.333 0.667 0.094
0.333 0.667 0.470
0.667 0.333 0.658
0.333 0.667 0.704
0.667 0.333 0.423
0.667 0.333 0.516
0.333 0.667 0.611
0.333 0.667 0.324
0.667 0.333 0.052
0.667 0.333 0.136
0.333 0.667 0.240


No. 16
MoW3Se4S4 PBE optimized geometry; distance to the lowest polymorph of the same formula = 0 meV per atom; E_form = -10.46 eV/f.u.
1.0
1.627 -2.817 0.000
1.627 2.817 0.000
0.000 0.000 40.149
Mo W Se S
1 3 4 4
direct
0.000 0.000 0.093
0.000 0.000 0.470
0.333 0.667 0.282
0.333 0.667 0.658
0.000 0.000 0.324
0.333 0.667 0.051
0.333 0.667 0.136
0.000 0.000 0.239
0.000 0.000 0.697
0.333 0.667 0.431
0.333 0.667 0.508
0.000 0.000 0.619


No. 17
MoW3Se4S4 PBE optimized geometry; distance to the lowest polymorph of the same formula = 19 meV per atom; E_form = -10.23 eV/f.u.
1.0
0.809 1.819 -2.578
-0.906 -3.101 -0.414
-35.176 10.741 -3.456
Mo W Se S
1 3 4 4
direct
0.000 0.000 0.094
0.000 0.000 0.470
0.333 0.667 0.282
0.333 0.667 0.658
0.000 0.000 0.328
0.333 0.667 0.423
0.333 0.667 0.516
0.000 0.000 0.236
0.000 0.000 0.700
0.333 0.667 0.052
0.333 0.667 0.136
0.000 0.000 0.616


No. 18
MoWSe2S2 PBE optimized geometry; distance to the lowest polymorph of the same formula = 34 meV per atom; E_form = -5.19 eV/f.u.
1.0
0.412 2.802 1.609
-2.466 -0.323 -2.103
-13.460 -7.773 16.978
Mo W Se S
1 1 2 2
direct
0.667 0.333 0.451
0.333 0.667 0.150
0.667 0.333 0.076
0.667 0.333 0.225
0.333 0.667 0.518
0.333 0.667 0.384


No. 19
MoWSe2S2 PBE optimized geometry; distance to the lowest polymorph of the same formula = 34 meV per atom; E_form = -5.19 eV/f.u.
1.0
1.629 -2.821 0.000
1.629 2.821 0.000
0.000 0.000 36.872
Mo W Se S
2 2 4 4
direct
0.333 0.667 0.094
0.667 0.333 0.906
0.333 0.667 0.718
0.667 0.333 0.282
0.333 0.667 0.328
0.667 0.333 0.672
0.667 0.333 0.764
0.333 0.667 0.236
0.333 0.667 0.948
0.667 0.333 0.052
0.667 0.333 0.136
0.333 0.667 0.864


No. 20
MoW3Se6S2 PBE optimized geometry; distance to the lowest polymorph of the same formula = 0 meV per atom; E_form = -8.69 eV/f.u.
1.0
0.921 1.846 2.559
-1.744 1.334 -2.446
-31.684 -8.832 17.772
Mo W Se S
1 3 6 2
direct
0.000 0.000 0.094
0.000 0.000 0.470
0.333 0.667 0.282
0.333 0.667 0.658
0.000 0.000 0.703
0.333 0.667 0.049
0.333 0.667 0.424
0.333 0.667 0.139
0.333 0.667 0.515
0.000 0.000 0.612
0.000 0.000 0.323
0.000 0.000 0.241


No. 21
MoWSe3S PBE optimized geometry; distance to the lowest polymorph of the same formula = 17 meV per atom; E_form = -4.42 eV/f.u.
1.0
1.646 -2.850 0.000
1.646 2.850 0.000
0.000 0.000 36.942
Mo W Se S
2 2 6 2
direct
0.000 0.000 0.093
0.000 0.000 0.471
0.333 0.667 0.281
0.333 0.667 0.657
0.000 0.000 0.327
0.000 0.000 0.703
0.333 0.667 0.048
0.333 0.667 0.139
0.000 0.000 0.236
0.000 0.000 0.611
0.333 0.667 0.429
0.333 0.667 0.512